# Ba2B2O5

Crystalline Ba2B2O5 at its relaxed geometry (GGA-PBE, Materials Project).

## Properties
total energy after the MP2020 corrections = -7.796 eV/atom
energy of formation from the pure elements = -2723 kJ/mol of formula units
E_tot = -7.414 eV/atom

abc: 4.2253 6.7649 11.0721
angles: 106.33 90.80 90.12
With the nearest neighbours (Å) after each atom.
Atoms (fractional coordinates):
Ba 0.2438 0.7763 0.6058  7 O 2.68-2.92
Ba 0.2132 0.3227 0.0821  6 O 2.65-2.77
Ba 0.7868 0.6773 0.9179  6 O 2.65-2.77
Ba 0.7562 0.2237 0.3942  7 O 2.68-2.92
B 0.3372 0.3521 0.6748  3 O 1.37-1.44
B 0.3379 0.8643 0.1963  3 O 1.37-1.44
B 0.6621 0.1357 0.8037  3 O 1.37-1.44
B 0.6628 0.6479 0.3252  3 O 1.37-1.44
O 0.2559 0.3283 0.5511  1 B 1.37
O 0.2340 0.0638 0.2224  1 B 1.37
O 0.2873 0.5322 0.7673  1 B 1.37
O 0.2988 0.7188 0.0829  1 B 1.37
O 0.4926 0.1789 0.6998  2 B 1.44
O 0.5074 0.8211 0.3002  2 B 1.44
O 0.7012 0.2812 0.9171  1 B 1.37
O 0.7127 0.4678 0.2327  1 B 1.37
O 0.7660 0.9362 0.7776  1 B 1.37
O 0.7441 0.6717 0.4489  1 B 1.37